# 1
Bi5O7F: relaxed, PBE-GGA.

Summary:
Magnetic moment, μB per cell: 0.000
Energy of formation, eV per formula unit: -21.966

a = 9.7237 Å, b = 9.7237 Å, c = 13.4721 Å
α = 70.91°, β = 70.91°, γ = 24.92°
Element x y z (fractional)
1 Bi 0.4716 0.4716 0.3516
2 Bi 0.8785 0.8785 0.5836
3 Bi 0.2529 0.2529 0.8708
4 Bi 0.4026 0.4026 0.1065
5 Bi 0.7957 0.7957 0.3622
6 Bi 0.2043 0.2043 0.6378
7 Bi 0.5974 0.5974 0.8935
8 Bi 0.7471 0.7471 0.1292
9 Bi 0.1215 0.1215 0.4164
10 Bi 0.5284 0.5284 0.6484
11 O 0.9352 0.9352 0.4021
12 O 0.4123 0.4123 0.5167
13 O 0.3024 0.3024 0.7048
14 O 0.3820 0.3820 0.2858
15 O 0.7076 0.7076 0.9031
16 O 0.7720 0.7720 0.5648
17 O 0.8486 0.8486 0.1735
18 O 0.1514 0.1514 0.8265
19 O 0.2280 0.2280 0.4352
20 O 0.2924 0.2924 0.0969
21 O 0.6180 0.6180 0.7142
22 O 0.6976 0.6976 0.2952
23 O 0.5877 0.5877 0.4833
24 O 0.0648 0.0648 0.5979
25 F 0.9196 0.9196 0.9719
26 F 0.0804 0.0804 0.0281

# 2
Bi19O27F3: relaxed, PBE-GGA.

Summary:
Magnetic moment, μB per cell: 0.000
Energy of formation, eV per formula unit: -83.644

a = 13.0840 Å, b = 13.0840 Å, c = 10.4640 Å
α = 90.00°, β = 90.00°, γ = 120.00°
Element x y z (fractional)
1 Bi 0.2371 0.9375 0.2460
2 Bi 0.2214 0.9370 0.5837
3 Bi 0.2409 0.9384 0.9171
4 Bi 0.1343 0.6118 0.2487
5 Bi 0.1338 0.6062 0.5829
6 Bi 0.1330 0.6139 0.9166
7 Bi 0.0625 0.2995 0.2460
8 Bi 0.0630 0.2844 0.5837
9 Bi 0.0616 0.3025 0.9171
10 Bi 0.0000 0.0000 0.3480
11 Bi 0.0000 0.0000 0.8480
12 Bi 0.4809 0.8670 0.9166
13 Bi 0.4724 0.8662 0.5829
14 Bi 0.4775 0.8657 0.2487
15 Bi 0.3938 0.5276 0.5829
16 Bi 0.3861 0.5191 0.9166
17 Bi 0.3882 0.5225 0.2487
18 Bi 0.3025 0.2409 0.4171
19 Bi 0.2844 0.2214 0.0837
20 Bi 0.2995 0.2371 0.7460
21 Bi 0.6975 0.7591 0.9171
22 Bi 0.7005 0.7629 0.2460
23 Bi 0.7156 0.7786 0.5837
24 Bi 0.6118 0.4775 0.7487
25 Bi 0.6139 0.4809 0.4166
26 Bi 0.6062 0.4724 0.0829
27 Bi 0.5191 0.1330 0.4166
28 Bi 0.5276 0.1338 0.0829
29 Bi 0.5225 0.1343 0.7487
30 Bi 0.9375 0.7005 0.7460
31 Bi 0.9370 0.7156 0.0837
32 Bi 0.9384 0.6975 0.4171
33 Bi 0.8657 0.3882 0.7487
34 Bi 0.8670 0.3861 0.4166
35 Bi 0.8662 0.3938 0.0829
36 Bi 0.7629 0.0625 0.7460
37 Bi 0.7591 0.0616 0.4171
38 Bi 0.7786 0.0630 0.0837
39 O 0.0142 0.8359 0.2541
40 O 0.0134 0.8210 0.5791
41 O 0.0157 0.8294 0.9128
42 O 0.1227 0.7233 0.7476
43 O 0.1248 0.7285 0.0843
44 O 0.1235 0.7229 0.4127
45 O 0.0563 0.4552 0.0796
46 O 0.0573 0.4589 0.7481
47 O 0.0582 0.4565 0.4161
48 O 0.3983 0.9418 0.4161
49 O 0.3989 0.9437 0.0796
50 O 0.4015 0.9427 0.7481
51 O 0.2771 0.4006 0.4127
52 O 0.2715 0.3963 0.0843
53 O 0.2767 0.3995 0.7476
54 O 0.1790 0.1925 0.5791
55 O 0.1641 0.1783 0.2541
56 O 0.1706 0.1863 0.9128
57 O 0.6005 0.8773 0.7476
58 O 0.6037 0.8752 0.0843
59 O 0.5994 0.8765 0.4127
60 O 0.1783 0.0142 0.7541
61 O 0.1925 0.0134 0.0791
62 O 0.1863 0.0157 0.4128
63 O 0.5411 0.5985 0.7481
64 O 0.5435 0.6017 0.4161
65 O 0.5448 0.6011 0.0796
66 O 0.4552 0.3989 0.5796
67 O 0.4565 0.3983 0.9161
68 O 0.4589 0.4015 0.2481
69 O 0.8217 0.9858 0.2541
70 O 0.8075 0.9866 0.5791
71 O 0.8137 0.9843 0.9128
72 O 0.3963 0.1248 0.5843
73 O 0.3995 0.1227 0.2476
74 O 0.4006 0.1235 0.9127
75 O 0.8359 0.8217 0.7541
76 O 0.8210 0.8075 0.0791
77 O 0.8294 0.8137 0.4128
78 O 0.7233 0.6005 0.2476
79 O 0.7229 0.5994 0.9127
80 O 0.7285 0.6037 0.5843
81 O 0.6017 0.0582 0.9161
82 O 0.5985 0.0573 0.2481
83 O 0.6011 0.0563 0.5796
84 O 0.9418 0.5435 0.9161
85 O 0.9437 0.5448 0.5796
86 O 0.9427 0.5411 0.2481
87 O 0.8765 0.2771 0.9127
88 O 0.8773 0.2767 0.2476
89 O 0.8752 0.2715 0.5843
90 O 0.9858 0.1641 0.7541
91 O 0.9866 0.1790 0.0791
92 O 0.9843 0.1706 0.4128
93 F 0.3333 0.6667 0.4131
94 F 0.3333 0.6667 0.0794
95 F 0.3333 0.6667 0.7481
96 F 0.6667 0.3333 0.2481
97 F 0.6667 0.3333 0.9131
98 F 0.6667 0.3333 0.5794

# 3
BiOF3: relaxed, PBE-GGA.

Summary:
Magnetic moment, μB per cell: 4.000
Energy of formation, eV per formula unit: -10.720

a = 14.8289 Å, b = 4.1678 Å, c = 6.4451 Å
α = 84.08°, β = 90.00°, γ = 90.00°
Element x y z (fractional)
1 Bi 0.1833 0.0187 0.6812
2 Bi 0.3167 0.0187 0.1812
3 Bi 0.6833 0.9813 0.8188
4 Bi 0.8167 0.9813 0.3188
5 O 0.5114 0.8804 0.5589
6 O 0.9886 0.8804 0.0589
7 O 0.0114 0.1196 0.9411
8 O 0.4886 0.1196 0.4411
9 F 0.8107 0.8052 0.6628
10 F 0.6893 0.8052 0.1628
11 F 0.2900 0.7621 0.5299
12 F 0.1112 0.5564 0.6687
13 F 0.2100 0.7621 0.0299
14 F 0.3888 0.5564 0.1687
15 F 0.6112 0.4436 0.8313
16 F 0.7900 0.2379 0.9701
17 F 0.8888 0.4436 0.3313
18 F 0.7100 0.2379 0.4701
19 F 0.3107 0.1948 0.8372
20 F 0.1893 0.1948 0.3372

# 4
Bi4O5F2: relaxed, PBE-GGA.

Summary:
Magnetic moment, μB per cell: 0.000
Energy of formation, eV per formula unit: -20.789

a = 8.5026 Å, b = 9.0927 Å, c = 9.2177 Å
α = 90.00°, β = 90.00°, γ = 90.00°
Element x y z (fractional)
1 Bi 0.7500 0.4346 0.0170
2 Bi 0.2500 0.9994 0.0449
3 Bi 0.9668 0.7904 0.2395
4 Bi 0.5332 0.7904 0.2395
5 Bi 0.0332 0.2904 0.2605
6 Bi 0.4668 0.2904 0.2605
7 Bi 0.7500 0.4994 0.4551
8 Bi 0.2500 0.9346 0.4830
9 Bi 0.7500 0.0654 0.5170
10 Bi 0.2500 0.5006 0.5449
11 Bi 0.5332 0.7096 0.7395
12 Bi 0.9668 0.7096 0.7395
13 Bi 0.0332 0.2096 0.7605
14 Bi 0.4668 0.2096 0.7605
15 Bi 0.7500 0.0006 0.9551
16 Bi 0.2500 0.5654 0.9830
17 O 0.0641 0.8362 0.0251
18 O 0.4359 0.8362 0.0251
19 O 0.5610 0.4925 0.1660
20 O 0.9390 0.4925 0.1660
21 O 0.7500 0.9246 0.1795
22 O 0.2500 0.4246 0.3205
23 O 0.0610 0.9925 0.3340
24 O 0.4390 0.9925 0.3340
25 O 0.5641 0.3362 0.4749
26 O 0.9359 0.3362 0.4749
27 O 0.0641 0.6638 0.5251
28 O 0.4359 0.6638 0.5251
29 O 0.5610 0.0075 0.6660
30 O 0.9390 0.0075 0.6660
31 O 0.7500 0.5754 0.6795
32 O 0.2500 0.0754 0.8205
33 O 0.0610 0.5075 0.8340
34 O 0.4390 0.5075 0.8340
35 O 0.5641 0.1638 0.9749
36 O 0.9359 0.1638 0.9749
37 F 0.2500 0.3214 0.0299
38 F 0.7500 0.2534 0.2193
39 F 0.2500 0.7534 0.2807
40 F 0.7500 0.8214 0.4701
41 F 0.2500 0.1786 0.5299
42 F 0.7500 0.2466 0.7193
43 F 0.2500 0.7466 0.7807
44 F 0.7500 0.6786 0.9701

# 5
Bi12O16F5: relaxed, PBE-GGA.

Summary:
Magnetic moment, μB per cell: 1.003
Energy of formation, eV per formula unit: -60.706

a = 13.8475 Å, b = 13.8475 Å, c = 10.4410 Å
α = 79.16°, β = 79.16°, γ = 15.81°
Element x y z (fractional)
1 Bi 0.6829 0.6826 0.9347
2 Bi 0.9303 0.9416 0.9256
3 Bi 0.5482 0.5616 0.7654
4 Bi 0.8095 0.8235 0.7511
5 Bi 0.4165 0.4453 0.6065
6 Bi 0.6595 0.7264 0.5607
7 Bi 0.2736 0.3405 0.4393
8 Bi 0.5547 0.5835 0.3935
9 Bi 0.1765 0.1905 0.2489
10 Bi 0.4384 0.4518 0.2346
11 Bi 0.0584 0.0697 0.0744
12 Bi 0.3174 0.3171 0.0653
13 O 0.8449 0.8451 0.9599
14 O 0.5921 0.6008 0.9304
15 O 0.0312 0.0246 0.8741
16 O 0.2814 0.2893 0.8794
17 O 0.4575 0.4745 0.7822
18 O 0.8899 0.9133 0.7095
19 O 0.3374 0.3543 0.6183
20 O 0.7709 0.7826 0.5514
21 O 0.2174 0.2291 0.4486
22 O 0.6457 0.6626 0.3817
23 O 0.0867 0.1101 0.2905
24 O 0.5255 0.5425 0.2178
25 O 0.7107 0.7186 0.1206
26 O 0.9754 0.9688 0.1259
27 O 0.3992 0.4079 0.0696
28 O 0.1549 0.1551 0.0401
29 F 0.2364 0.1672 0.7316
30 F 0.1515 0.0668 0.6308
31 F 0.9944 0.0056 0.5000
32 F 0.9332 0.8485 0.3692
33 F 0.8328 0.7636 0.2684

# 6
Bi3O2F5: relaxed, PBE-GGA.

Summary:
Magnetic moment, μB per cell: 0.000
Energy of formation, eV per formula unit: -24.195

a = 5.9587 Å, b = 8.4233 Å, c = 13.5442 Å
α = 71.68°, β = 90.00°, γ = 90.00°
Element x y z (fractional)
1 Bi 0.4260 0.2500 0.0000
2 Bi 0.5740 0.7500 0.0000
3 Bi 0.0252 0.4245 0.1433
4 Bi 0.4579 0.1226 0.2942
5 Bi 0.9748 0.9245 0.1433
6 Bi 0.5421 0.6226 0.2942
7 Bi 0.0009 0.2500 0.5000
8 Bi 0.9991 0.7500 0.5000
9 Bi 0.4579 0.3774 0.7058
10 Bi 0.0252 0.0755 0.8567
11 Bi 0.5421 0.8774 0.7058
12 Bi 0.9748 0.5755 0.8567
13 O 0.2156 0.0301 0.0028
14 O 0.7844 0.5301 0.0028
15 O 0.2438 0.1785 0.1580
16 O 0.7562 0.6785 0.1580
17 O 0.2438 0.3215 0.8420
18 O 0.7562 0.8215 0.8420
19 O 0.2156 0.4699 0.9972
20 O 0.7844 0.9699 0.9972
21 F 0.7707 0.2114 0.1633
22 F 0.2293 0.7114 0.1633
23 F 0.4281 0.4267 0.2189
24 F 0.1250 0.2146 0.3471
25 F 0.5719 0.9267 0.2189
26 F 0.7286 0.3805 0.3673
27 F 0.8750 0.7146 0.3471
28 F 0.2714 0.8805 0.3673
29 F 0.2346 0.4649 0.4507
30 F 0.2346 0.0351 0.5493
31 F 0.7654 0.9649 0.4507
32 F 0.7654 0.5351 0.5493
33 F 0.7286 0.1195 0.6327
34 F 0.1250 0.2854 0.6529
35 F 0.2714 0.6195 0.6327
36 F 0.4281 0.0733 0.7811
37 F 0.8750 0.7854 0.6529
38 F 0.5719 0.5733 0.7811
39 F 0.7707 0.2886 0.8367
40 F 0.2293 0.7886 0.8367

# 7
Bi7O5F11: relaxed, PBE-GGA.

Summary:
Energy of formation, eV per formula unit: -55.776

a = 7.3582 Å, b = 7.3582 Å, c = 9.2845 Å
α = 84.42°, β = 84.42°, γ = 45.31°
Element x y z (fractional)
1 Bi 0.5669 0.5699 0.7871
2 Bi 0.4301 0.4331 0.2129
3 Bi 0.3139 0.2982 0.6391
4 Bi 0.7018 0.6861 0.3609
5 Bi 0.1074 0.8926 0.5000
6 Bi 0.9609 0.7870 0.9223
7 Bi 0.2130 0.0391 0.0777
8 O 0.3030 0.6970 0.0000
9 O 0.2244 0.6588 0.7242
10 O 0.3412 0.7756 0.2758
11 O 0.4807 0.7351 0.5517
12 O 0.2649 0.5193 0.4483
13 F 0.8071 0.1929 0.0000
14 F 0.7093 0.1697 0.7195
15 F 0.8303 0.2907 0.2805
16 F 0.6799 0.9645 0.4817
17 F 0.0355 0.3201 0.5183
18 F 0.6367 0.7508 0.0342
19 F 0.2492 0.3633 0.9658
20 F 0.2855 0.0042 0.8102
21 F 0.9958 0.7145 0.1898
22 F 0.8973 0.6098 0.7464
23 F 0.3902 0.1027 0.2536

# 8
Bi3O2F5: relaxed, PBE-GGA.

Summary:
Energy of formation, eV per formula unit: -24.474

a = 5.7346 Å, b = 5.9100 Å, c = 18.1120 Å
α = 90.00°, β = 90.00°, γ = 90.00°
Element x y z (fractional)
1 Bi 0.1703 0.5392 0.6000
2 Bi 0.1703 0.5392 0.9000
3 Bi 0.2396 0.9630 0.7500
4 Bi 0.2604 0.4630 0.2500
5 Bi 0.3297 0.0392 0.1000
6 Bi 0.3297 0.0392 0.4000
7 Bi 0.6703 0.9608 0.9000
8 Bi 0.6703 0.9608 0.6000
9 Bi 0.7396 0.5370 0.7500
10 Bi 0.7604 0.0370 0.2500
11 Bi 0.8297 0.4608 0.4000
12 Bi 0.8297 0.4608 0.1000
13 O 0.0452 0.2270 0.1712
14 O 0.0452 0.2270 0.3288
15 O 0.4548 0.7270 0.8288
16 O 0.4548 0.7270 0.6712
17 O 0.5452 0.2730 0.1712
18 O 0.5452 0.2730 0.3288
19 O 0.9548 0.7730 0.6712
20 O 0.9548 0.7730 0.8288
21 F 0.1352 0.4017 0.7500
22 F 0.1086 0.2903 0.0217
23 F 0.1086 0.2903 0.4783
24 F 0.1682 0.6678 0.1298
25 F 0.1682 0.6678 0.3702
26 F 0.3318 0.1678 0.8702
27 F 0.3318 0.1678 0.6298
28 F 0.3914 0.7903 0.5217
29 F 0.3914 0.7903 0.9783
30 F 0.3648 0.9017 0.2500
31 F 0.6352 0.0983 0.7500
32 F 0.6086 0.2097 0.0217
33 F 0.6086 0.2097 0.4783
34 F 0.6682 0.8322 0.3702
35 F 0.6682 0.8322 0.1298
36 F 0.8318 0.3322 0.6298
37 F 0.8318 0.3322 0.8702
38 F 0.8914 0.7097 0.9783
39 F 0.8914 0.7097 0.5217
40 F 0.8648 0.5983 0.2500

# 9
Bi3O4F: relaxed, PBE-GGA.

Summary:
Magnetic moment, μB per cell: 0.001
Energy of formation, eV per formula unit: -14.113

a = 8.9125 Å, b = 8.9125 Å, c = 10.0309 Å
α = 66.70°, β = 66.70°, γ = 22.91°
Element x y z (fractional)
1 Bi 0.9141 0.9141 0.9416
2 Bi 0.3023 0.3023 0.7573
3 Bi 0.8530 0.8530 0.4143
4 Bi 0.1470 0.1470 0.5857
5 Bi 0.6977 0.6977 0.2427
6 Bi 0.0859 0.0859 0.0584
7 O 0.8844 0.8844 0.7543
8 O 0.3827 0.3827 0.5237
9 O 0.6705 0.6705 0.9960
10 O 0.7435 0.7435 0.6231
11 O 0.2565 0.2565 0.3769
12 O 0.3295 0.3295 0.0040
13 O 0.6173 0.6173 0.4763
14 O 0.1156 0.1156 0.2457
15 F 0.4750 0.4750 0.1794
16 F 0.5250 0.5250 0.8206

# 10
Bi2OF4: relaxed, PBE-GGA.

Summary:
Energy of formation, eV per formula unit: -17.736

a = 7.1050 Å, b = 7.1050 Å, c = 5.8314 Å
α = 78.88°, β = 78.88°, γ = 47.00°
Element x y z (fractional)
1 Bi 0.1087 0.6797 0.5815
2 Bi 0.6797 0.1087 0.0815
3 Bi 0.3203 0.8913 0.9185
4 Bi 0.8913 0.3203 0.4185
5 O 0.9612 0.0388 0.7500
6 O 0.0388 0.9612 0.2500
7 F 0.3044 0.5386 0.9396
8 F 0.5386 0.3044 0.4396
9 F 0.7192 0.8522 0.8228
10 F 0.8522 0.7192 0.3228
11 F 0.1478 0.2808 0.6772
12 F 0.2808 0.1478 0.1772
13 F 0.4614 0.6956 0.5604
14 F 0.6956 0.4614 0.0604

The following VASP energy values (in eV per atom) correspond, in order, to the records above: -5.59; -5.65; -4.75; -5.51; -5.54; -5.17; -5.23; -5.19; -5.53; -5.08.
The following energy with MP2020 corrections values (in eV/cell) correspond, in order, to the records above: -155.933; -593.787; -101.208; -259.673; -196.126; -221.338; -128.806; -222.451; -94.979; -76.245.